First-principles (meta-GGA r2SCAN) data for a geometry-optimized Si2Ni6B structure, as listed in the Materials Project database.

Output
Formation energy in meV per atom: -460.8
Total moment in μB/cell: 0.0

Cell lengths 6.0719, 6.0719, 2.8154 Å; angles 90.00, 90.00, 120.00 degrees
Space group P-62m (No. 189)
One atom of each set of equivalent atoms:
Si 0.3333 0.6667 0.0000 [2 per cell]
Ni 0.0000 0.2451 0.0000 [3 per cell]
Ni 0.0000 0.6104 0.5000 [3 per cell]
B 0.0000 0.0000 0.5000 [1 per cell]